Entry 1:
Compound: Na8MgCo2O8
Source: Materials Project
Functional: PBE with a Hubbard U
Structure: relaxed

Lattice parameters (Å, degrees): 5.5893 5.9596 8.8598 72.64 87.71 70.74
With the nearest neighbours (Å) after each atom.
Sites, in units of the cell vectors:
Na  0.0000  0.0000  0.0000  3 O 2.32-2.55
Na  0.0030  0.2043  0.5784  4 O 2.35-2.39
Na  0.0181  0.5294  0.7856  3 O 2.24-2.39, 1 Na 2.46
Na  0.4810  0.2952  0.3882  4 O 2.34-2.43
Na  0.4916  0.8787  0.2191  3 O 2.18-2.37
Na  0.5003  0.7174  0.5778  4 O 2.38-2.56
Na  0.6736  0.6992  0.9434  4 O 2.24-2.50, 1 Na 2.46
Na  0.9762  0.7937  0.4073  4 O 2.33-2.55
Mg  0.4501  0.3249  0.0170  4 O 1.99-2.03
Co  0.5150  0.2012  0.7352  4 O 1.81-1.99
Co  0.9640  0.3339  0.2427  4 O 1.85-1.98
O  0.1034  0.5311  0.0635  1 Co 1.98, 1 Mg 2.03
O  0.2149  0.0577  0.3713  1 Co 1.86
O  0.2665  0.4351  0.5929  1 Co 1.81
O  0.3848  0.0647  0.9434  1 Mg 1.99, 1 Co 1.99
O  0.6513  0.4043  0.8252  1 Co 1.98, 1 Mg 2.02
O  0.7314  0.1829  0.1854  1 Co 1.96, 1 Mg 1.99
O  0.7438  0.9492  0.6750  1 Co 1.83
O  0.7691  0.5315  0.3593  1 Co 1.85

Magnetic moment: 8.00 μB/cell
Energy above the most stable polymorph in this dataset: 0.000 eV per atom
Crystal system: triclinic
Uncorrected energy: -4.6534 eV per atom

---

Entry 2:
Compound: MgCr2O4
Source: Materials Project
Functional: PBE with a Hubbard U
Structure: relaxed

Lattice parameters (Å, degrees): 3.0146 5.2215 10.2917 90.00 90.08 90.00
With the nearest neighbours (Å) after each atom.
Sites, in units of the cell vectors:
Mg  0.0000  0.0000  0.0000  6 O 2.16-2.17
Mg  0.5000  0.5000  0.0000  6 O 2.16-2.17
Cr  0.0008  0.6669  0.2555  3 O 1.94
Cr  0.4992  0.1669  0.7445  3 O 1.94
Cr  0.5008  0.1669  0.2555  3 O 1.94
Cr  0.9992  0.6669  0.7445  3 O 1.94
O  0.0000  0.3335  0.1250  3 Mg 2.16, 3 Cr 2.20
O  0.0000  0.3335  0.8750  3 Mg 2.16-2.17, 3 Cr 2.20
O  0.0012  0.0003  0.3379  3 Cr 1.94
O  0.4988  0.5003  0.6621  3 Cr 1.94
O  0.5000  0.8335  0.1250  3 Mg 2.16-2.17, 3 Cr 2.20
O  0.5000  0.8335  0.8750  3 Mg 2.16-2.17, 3 Cr 2.20
O  0.5012  0.5003  0.3379  3 Cr 1.94
O  0.9988  0.0003  0.6621  3 Cr 1.94

Magnetic moment: 12.00 μB/cell
Energy above the most stable polymorph in this dataset: 0.325 eV per atom
Crystal system: monoclinic
Uncorrected energy: -7.1582 eV per atom

---

Entry 3:
Compound: FeO2
Source: Materials Project
Functional: PBE with a Hubbard U
Structure: relaxed

Lattice parameters (Å, degrees): 5.9599 5.9599 14.3632 90.00 90.00 120.00
With the nearest neighbours (Å) after each atom.
Sites, in units of the cell vectors:
Fe  0.0000  0.0000  0.0000  4 O 1.92-1.95
Fe  0.0000  0.0000  0.3840  6 O 1.88-1.95
Fe  0.1718  0.3435  0.2171  5 O 1.86-2.00
Fe  0.1718  0.8282  0.2171  5 O 1.86-2.00
Fe  0.3333  0.6667  0.6730  4 O 1.88-1.93
Fe  0.3352  0.1676  0.5523  6 O 1.97-2.05
Fe  0.5047  0.0094  0.8852  6 O 1.88-2.09
Fe  0.5047  0.4953  0.8852  6 O 1.88-2.09
Fe  0.6565  0.8282  0.2171  5 O 1.86-2.00
Fe  0.8324  0.1676  0.5523  6 O 1.97-2.05
Fe  0.8324  0.6648  0.5523  6 O 1.97-2.05
Fe  0.9906  0.4953  0.8852  6 O 1.88-2.09
O  0.0000  0.0000  0.1360  4 Fe 1.95-2.12
O  0.0000  0.0000  0.6205  3 Fe 1.99
O  0.0257  0.5129  0.1553  2 Fe 1.86
O  0.1433  0.2865  0.4646  3 Fe 1.88-2.05
O  0.1433  0.8567  0.4646  3 Fe 1.88-2.05
O  0.1747  0.3495  0.9550  3 Fe 1.92-1.98
O  0.1747  0.8253  0.9550  3 Fe 1.92-1.98
O  0.2835  0.1417  0.2943  3 Fe 1.95-1.98
O  0.3333  0.6667  0.2944  3 Fe 2.00
O  0.3333  0.6667  0.8075  4 Fe 1.93-2.09
O  0.3683  0.1841  0.8176  2 Fe 1.88
O  0.4871  0.5129  0.1553  2 Fe 1.86
O  0.4871  0.9743  0.1553  2 Fe 1.86
O  0.5004  0.0007  0.6210  3 Fe 1.88-1.98
O  0.5004  0.4996  0.6210  3 Fe 1.88-1.98
O  0.6505  0.8253  0.9550  3 Fe 1.92-1.98
O  0.6667  0.3333  0.4847  3 Fe 1.97
O  0.6667  0.3333  0.9625  3 Fe 2.01
O  0.7135  0.8567  0.4646  3 Fe 1.88-2.05
O  0.8159  0.1841  0.8176  2 Fe 1.88
O  0.8159  0.6317  0.8176  2 Fe 1.88
O  0.8583  0.1417  0.2943  3 Fe 1.95-1.98
O  0.8583  0.7165  0.2943  3 Fe 1.95-1.98
O  0.9993  0.4996  0.6210  3 Fe 1.88-1.98

Magnetic moment: 48.01 μB/cell
Crystal system: trigonal
Uncorrected energy: -6.0546 eV per atom

---

Table of volume (Å³ per cell), in record order: 265.35 162.00 441.83